A plane-wave DFT calculation with PBE was carried out for a relaxed structure of GeH6C2S2O6.

Calculated values
DFT formation energy in eV/atom: -0.992
Crystal system: tetragonal
E (MP2020) in Ha/atom: -0.212

Lattice parameters (Å, degrees): 7.663 7.663 14.530 90.00 90.00 90.00
Space group P4_12_12 (No. 92)
Asymmetric unit:
Ge1 0.186 0.186 0.000 x4
H1 0.064 0.105 0.348 x8
H2 0.101 0.297 0.671 x8
H3 0.200 0.268 0.401 x8
C1 0.183 0.183 0.341 x8
S1 0.152 0.317 0.243 x8
O1 0.000 0.426 0.256 x8
O2 0.073 0.820 0.487 x8
O3 0.145 0.197 0.163 x8